# 1
# Na6MgCo2O6 | the Materials Project | GGA+U | optimized geometry
data_Na6MgCo2O6
_space_group_name_H-M_alt 'P 1'
_space_group_IT_number 1
_space_group_name_Hall 'P 1'
_cell_length_a 6.0100
_cell_length_b 6.2704
_cell_length_c 5.8651
_cell_angle_alpha 65.67
_cell_angle_beta 95.68
_cell_angle_gamma 89.29
loop_
_atom_site_label
_atom_site_fract_x
_atom_site_fract_y
_atom_site_fract_z
Na1 0.3740 0.4754 0.6932
Na2 0.6260 0.5246 0.3068
Na3 0.0008 0.2127 0.6057
Na4 0.9992 0.7873 0.3943
Na5 0.2588 0.8656 0.0031
Na6 0.7412 0.1344 0.9969
Mg1 0.0000 0.5000 0.0000
Co1 0.6494 0.8337 0.6833
Co2 0.3506 0.1663 0.3167
O1 0.7689 0.5244 0.6988
O2 0.2311 0.4756 0.3012
O3 0.8313 0.7825 0.0032
O4 0.1687 0.2175 0.9968
O5 0.6930 0.1311 0.3788
O6 0.3070 0.8689 0.6212
# * DFT total energy: -4.649 eV per atom
# * energy above the most stable polymorph in this dataset: 1.03 kJ per mole of atoms
# * V: 13.34 Å³ per atom
# * DFT formation energy: -1.579 eV/atom



# 2
# Na3MgCo5O10 | the Materials Project | GGA+U | optimized geometry
data_Na3MgCo5O10
_space_group_name_H-M_alt 'P 1'
_space_group_IT_number 1
_space_group_name_Hall 'P 1'
_cell_length_a 5.6471
_cell_length_b 7.9920
_cell_length_c 5.1211
_cell_angle_alpha 71.65
_cell_angle_beta 71.81
_cell_angle_gamma 84.17
loop_
_atom_site_label
_atom_site_fract_x
_atom_site_fract_y
_atom_site_fract_z
Na1 0.4867 0.1866 0.5764
Na2 0.4937 0.3801 0.9748
Na3 0.4932 0.8192 0.7670
Mg1 0.5075 0.6096 0.3631
Co1 0.9681 0.0053 0.0073
Co2 0.0098 0.2011 0.3939
Co3 0.0181 0.5973 0.1941
Co4 0.9963 0.4094 0.7975
Co5 0.0150 0.8008 0.5875
O1 0.1793 0.2085 0.0054
O2 0.1815 0.9982 0.6304
O3 0.8073 0.9974 0.3959
O4 0.2228 0.4148 0.3873
O5 0.7847 0.4155 0.2035
O6 0.2266 0.7810 0.2238
O7 0.8074 0.2135 0.7762
O8 0.2250 0.5946 0.7742
O9 0.7861 0.6023 0.5885
O10 0.8043 0.7809 0.0079
# * DFT total energy: -5.444 eV per atom
# * energy above the most stable polymorph in this dataset: 0.25 kJ per mole of atoms
# * V: 10.97 Å³ per atom
# * DFT formation energy: -1.469 eV/atom



# 3
# Na2MgCo2O4 | the Materials Project | GGA+U | optimized geometry
data_Na2MgCo2O4
_space_group_name_H-M_alt 'P 1'
_space_group_IT_number 1
_space_group_name_Hall 'P 1'
_cell_length_a 3.1144
_cell_length_b 7.1387
_cell_length_c 5.2755
_cell_angle_alpha 92.91
_cell_angle_beta 92.07
_cell_angle_gamma 108.11
loop_
_atom_site_label
_atom_site_fract_x
_atom_site_fract_y
_atom_site_fract_z
Na1 0.4425 0.0633 0.3775
Na2 0.8138 0.8716 0.7879
Mg1 0.0784 0.3010 0.9892
Co1 0.1412 0.6614 0.1918
Co2 0.6306 0.4443 0.6160
O1 0.2242 0.5693 0.8109
O2 0.4654 0.1714 0.7918
O3 0.6879 0.3895 0.2550
O4 0.7661 0.8301 0.2772
# * DFT total energy: -5.210 eV per atom
# * energy above the most stable polymorph in this dataset: 0.56 kJ per mole of atoms
# * V: 12.35 Å³ per atom
# * DFT formation energy: -1.629 eV/atom



Question: DFT total energy of number 2 (Na3MgCo5O10)?
Answer: -5.444 eV per atom